# 1
# LiSb3P6O20

A relaxed LiSb3P6O20 crystal (PBE, the Materials Project database).

Properties
formation energy = -2.357 eV per atom
calculated volume = 1919.17 Å³ per cell
crystal system = orthorhombic
E_tot = -6.76 eV per atom

Geometry as CIF:
```
data_LiSb3P6O20
_chemical_formula_sum 'Li4 Sb12 P24 O80'
_cell_length_a 10.737
_cell_length_b 13.940
_cell_length_c 12.823
_cell_angle_alpha 90.00
_cell_angle_beta 90.00
_cell_angle_gamma 90.00
_space_group_name_H-M_alt 'C 2 2 21'
_space_group_IT_number 20
loop_
_space_group_symop_operation_xyz
'x,y,z'
'-x,-y,z+1/2'
'x,-y,-z'
'-x,y,-z+1/2'
'x+1/2,y+1/2,z'
'-x+1/2,-y+1/2,z+1/2'
'x+1/2,-y+1/2,-z'
'-x+1/2,y+1/2,-z+1/2'
loop_
_atom_site_label
_atom_site_type_symbol
_atom_site_fract_x
_atom_site_fract_y
_atom_site_fract_z
Li1 Li 0.003 0.000 0.000
Sb1 Sb 0.000 0.201 0.250
Sb2 Sb 0.000 0.262 0.750
Sb3 Sb 0.136 0.500 0.500
P1 P 0.065 0.291 0.013
P2 P 0.234 0.365 0.177
P3 P 0.243 0.447 0.728
O1 O 0.039 0.197 0.071
O2 O 0.039 0.366 0.469
O3 O 0.101 0.276 0.900
O4 O 0.125 0.137 0.677
O5 O 0.136 0.379 0.702
O6 O 0.143 0.091 0.285
O7 O 0.165 0.306 0.256
O8 O 0.186 0.475 0.190
O9 O 0.192 0.340 0.061
O10 O 0.220 0.000 0.124
```

# 2
# GdAl10Ru2

A relaxed GdAl10Ru2 crystal (PBE, the Materials Project database).

Properties
formation energy = -0.522 eV per atom
calculated volume = 853.67 Å³ per cell
crystal system = orthorhombic
E_tot = -5.91 eV per atom

Geometry as CIF:
```
data_GdAl10Ru2
_chemical_formula_sum 'Gd4 Al40 Ru8'
_cell_length_a 9.104
_cell_length_b 10.251
_cell_length_c 9.147
_cell_angle_alpha 90.00
_cell_angle_beta 90.00
_cell_angle_gamma 90.00
_space_group_name_H-M_alt 'C m c m'
_space_group_IT_number 63
_space_group_name_Hall '-C 2c 2'
loop_
_atom_site_label
_atom_site_type_symbol
_atom_site_fract_x
_atom_site_fract_y
_atom_site_fract_z
Gd1 Gd 0.000 0.126 0.250
Al1 Al 0.000 0.158 0.600
Al2 Al 0.000 0.377 0.049
Al3 Al 0.150 0.369 0.750
Al4 Al 0.222 0.364 0.250
Al5 Al 0.226 0.000 0.000
Ru1 Ru 0.250 0.250 0.000
```

# 3
# BaZnCl4

A relaxed BaZnCl4 crystal (PBE, the Materials Project database).

Properties
formation energy = -2.268 eV per atom
calculated volume = 722.52 Å³ per cell
crystal system = orthorhombic
E_tot = -3.62 eV per atom

Geometry as CIF:
```
data_BaZnCl4
_chemical_formula_sum 'Ba4 Zn4 Cl16'
_cell_length_a 7.320
_cell_length_b 10.142
_cell_length_c 9.732
_cell_angle_alpha 90.00
_cell_angle_beta 90.00
_cell_angle_gamma 90.00
_space_group_name_H-M_alt 'P n n a'
_space_group_IT_number 52
loop_
_space_group_symop_operation_xyz
'x,y,z'
'-x,-y,-z'
'-x+1/2,-y,z'
'x+1/2,y,-z'
'x,-y+1/2,-z+1/2'
'-x,y+1/2,z+1/2'
'-x+1/2,y+1/2,-z+1/2'
'x+1/2,-y+1/2,z+1/2'
loop_
_atom_site_label
_atom_site_type_symbol
_atom_site_fract_x
_atom_site_fract_y
_atom_site_fract_z
Ba1 Ba 0.182 0.250 0.250
Zn1 Zn 0.250 0.000 0.675
Cl1 Cl 0.006 0.534 0.307
Cl2 Cl 0.165 0.683 0.948
```

# 4
# Li6SbS2

A relaxed Li6SbS2 crystal (PBE, the Materials Project database).

Properties
formation energy = -1.094 eV per atom
calculated volume = 659.14 Å³ per cell
crystal system = monoclinic
E_tot = -3.63 eV per atom

Geometry as CIF:
```
data_Li6SbS2
_chemical_formula_sum 'Li24 Sb4 S8'
_cell_length_a 6.008
_cell_length_b 6.187
_cell_length_c 18.037
_cell_angle_alpha 90.00
_cell_angle_beta 100.54
_cell_angle_gamma 90.00
_space_group_name_H-M_alt 'P 1 21/c 1'
_space_group_IT_number 14
loop_
_space_group_symop_operation_xyz
'x,y,z'
'-x,-y,-z'
'-x,y+1/2,-z+1/2'
'x,-y+1/2,z+1/2'
loop_
_atom_site_label
_atom_site_type_symbol
_atom_site_fract_x
_atom_site_fract_y
_atom_site_fract_z
Li1 Li 0.022 0.237 0.327
Li2 Li 0.026 0.717 0.830
Li3 Li 0.037 0.242 0.502
Li4 Li 0.412 0.668 0.029
Li5 Li 0.460 0.240 0.664
Li6 Li 0.463 0.744 0.678
Sb1 Sb 0.318 0.505 0.432
S1 S 0.187 0.512 0.101
S2 S 0.239 0.010 0.248
```

# 5
# LiCa3RuO6

A relaxed LiCa3RuO6 crystal (PBE, the Materials Project database).

Properties
formation energy = -2.632 eV per atom
calculated volume = 814.84 Å³ per cell
crystal system = trigonal
E_tot = -6.52 eV per atom

Geometry as CIF:
```
data_LiCa3RuO6
_chemical_formula_sum 'Li6 Ca18 Ru6 O36'
_cell_length_a 9.3182
_cell_length_b 9.3182
_cell_length_c 10.8363
_cell_angle_alpha 90.00
_cell_angle_beta 90.00
_cell_angle_gamma 120.00
_space_group_name_H-M_alt 'R -3 c'
_space_group_IT_number 167
_space_group_name_Hall '-R 3 2"c'
loop_
_atom_site_label
_atom_site_type_symbol
_atom_site_fract_x
_atom_site_fract_y
_atom_site_fract_z
Li1 Li 0.0000 0.0000 0.2500
Ca1 Ca 0.0000 0.3554 0.2500
Ru1 Ru 0.0000 0.0000 0.0000
O1 O 0.0292 0.1853 0.3938
```

# 6
# LaIr3

A relaxed LaIr3 crystal (PBE, the Materials Project database).

Properties
formation energy = -0.545 eV per atom
calculated volume = 680.68 Å³ per cell
crystal system = trigonal
E_tot = -8.41 eV per atom

Geometry as CIF:
```
data_LaIr3
_chemical_formula_sum 'La9 Ir27'
_cell_length_a 5.4362
_cell_length_b 5.4362
_cell_length_c 26.5959
_cell_angle_alpha 90.00
_cell_angle_beta 90.00
_cell_angle_gamma 120.00
_space_group_name_H-M_alt 'R -3 m'
_space_group_IT_number 166
_space_group_name_Hall '-R 3 2"'
loop_
_atom_site_label
_atom_site_type_symbol
_atom_site_fract_x
_atom_site_fract_y
_atom_site_fract_z
La1 La 0.0000 0.0000 0.0000
La2 La 0.0000 0.0000 0.1398
Ir1 Ir 0.0000 0.0000 0.3315
Ir2 Ir 0.0000 0.0000 0.5000
Ir3 Ir 0.0054 0.5027 0.0801
```

# 7
# Cs19W12N30

A relaxed Cs19W12N30 crystal (PBE, the Materials Project database).

Properties
formation energy = -0.673 eV per atom
calculated volume = 4453.72 Å³ per cell
crystal system = trigonal
E_tot = -7.42 eV per atom

Geometry as CIF:
```
data_Cs19W12N30
_chemical_formula_sum 'Cs57 W36 N90'
_cell_length_a 13.3581
_cell_length_b 13.3581
_cell_length_c 28.8205
_cell_angle_alpha 90.00
_cell_angle_beta 90.00
_cell_angle_gamma 120.00
_space_group_name_H-M_alt 'R -3'
_space_group_IT_number 148
_space_group_name_Hall '-R 3'
loop_
_atom_site_label
_atom_site_type_symbol
_atom_site_fract_x
_atom_site_fract_y
_atom_site_fract_z
Cs1 Cs 0.0000 0.0000 0.0000
Cs2 Cs 0.9995 0.1733 0.7502
Cs3 Cs 0.0524 0.8368 0.3925
Cs4 Cs 0.0528 0.2189 0.8909
W1 W 0.0240 0.4400 0.6844
W2 W 0.0260 0.5847 0.1842
N1 N 0.0000 0.4196 0.7500
N2 N 0.0113 0.7857 0.6788
N3 N 0.0118 0.2268 0.1786
N4 N 0.0676 0.4720 0.1675
N5 N 0.0701 0.8082 0.0008
```

# 8
# VPt

A relaxed VPt crystal (PBE, the Materials Project database).

Properties
formation energy = -0.550 eV per atom
calculated volume = 57.41 Å³ per cell
crystal system = orthorhombic
E_tot = -8.13 eV per atom

Geometry as CIF:
```
data_VPt
_chemical_formula_sum 'V2 Pt2'
_cell_length_a 4.406
_cell_length_b 2.709
_cell_length_c 4.810
_cell_angle_alpha 90.00
_cell_angle_beta 90.00
_cell_angle_gamma 90.00
_space_group_name_H-M_alt 'P m m a'
_space_group_IT_number 51
loop_
_space_group_symop_operation_xyz
'x,y,z'
'-x,-y,-z'
'-x+1/2,-y,z'
'x+1/2,y,-z'
'x+1/2,-y,-z'
'-x+1/2,y,z'
'-x,y,-z'
'x,-y,z'
loop_
_atom_site_label
_atom_site_type_symbol
_atom_site_fract_x
_atom_site_fract_y
_atom_site_fract_z
V1 V 0.250 0.000 0.171
Pt1 Pt 0.250 0.500 0.682
```